ICl4O4 after structural relaxation. Source: the Materials Project database, functional PBE-GGA.

a b c (Å): 8.2934 4.8983 12.0622
angles (deg): 90.00 96.27 90.00
With the nearest neighbours (Å) after each atom.
Fractional coordinates of all 18 atoms:
I (0.0000, 0.0000, 0.0000)  4 Cl 2.48-2.50
I (0.0000, 0.5000, 0.5000)  4 Cl 2.48-2.50
Cl (0.0474, 0.1334, 0.6440)  1 I 2.50
Cl (0.0474, 0.3666, 0.1440)  1 I 2.50
Cl (0.2894, 0.0226, 0.9661)  1 I 2.48
Cl (0.2894, 0.4774, 0.4661)  1 I 2.48
Cl (0.7106, 0.5226, 0.5339)  1 I 2.48
Cl (0.7106, 0.9774, 0.0339)  1 I 2.48
Cl (0.9526, 0.6334, 0.8560)  1 I 2.50
Cl (0.9526, 0.8666, 0.3560)  1 I 2.50
O (0.3772, 0.5376, 0.7640)  1 O 1.22
O (0.3772, 0.9624, 0.2640)  1 O 1.22
O (0.4982, 0.5284, 0.8318)  1 O 1.22
O (0.4982, 0.9716, 0.3318)  1 O 1.22
O (0.5018, 0.0284, 0.6682)  1 O 1.22
O (0.5018, 0.4716, 0.1682)  1 O 1.22
O (0.6228, 0.0376, 0.7360)  1 O 1.22
O (0.6228, 0.4624, 0.2360)  1 O 1.22

energy of formation from the pure elements	-0.98	eV per formula unit
total DFT energy (no corrections)	-3.227	eV/atom



SbI3Cl8 after structural relaxation. Source: the Materials Project database, functional PBE-GGA.

a b c (Å): 7.5772 7.8347 8.1252
angles (deg): 94.51 93.60 101.10
With the nearest neighbours (Å) after each atom.
Fractional coordinates of all 12 atoms:
Sb (0.0000, 0.0000, 0.0000)  6 Cl 2.38-2.51
I (0.0000, 0.5000, 0.5000)  2 I 2.94
I (0.3215, 0.7378, 0.6633)  1 Cl 2.39
I (0.6785, 0.2622, 0.3367)  1 Cl 2.39
Cl (0.1038, 0.0325, 0.2855)  1 Sb 2.38
Cl (0.1500, 0.7429, 0.9612)  1 Sb 2.51
Cl (0.2691, 0.1930, 0.9408)  1 Sb 2.39
Cl (0.4904, 0.7363, 0.4252)  1 I 2.39
Cl (0.5096, 0.2637, 0.5748)  1 I 2.39
Cl (0.7309, 0.8070, 0.0592)  1 Sb 2.39
Cl (0.8500, 0.2571, 0.0388)  1 Sb 2.51
Cl (0.8962, 0.9675, 0.7145)  1 Sb 2.38

energy of formation from the pure elements	-9.93	eV per formula unit
total DFT energy (no corrections)	-2.375	eV/atom



Repeat the second record exactly.
SbI3Cl8 after structural relaxation. Source: the Materials Project database, functional PBE-GGA.

a b c (Å): 7.5772 7.8347 8.1252
angles (deg): 94.51 93.60 101.10
With the nearest neighbours (Å) after each atom.
Fractional coordinates of all 12 atoms:
Sb (0.0000, 0.0000, 0.0000)  6 Cl 2.38-2.51
I (0.0000, 0.5000, 0.5000)  2 I 2.94
I (0.3215, 0.7378, 0.6633)  1 Cl 2.39
I (0.6785, 0.2622, 0.3367)  1 Cl 2.39
Cl (0.1038, 0.0325, 0.2855)  1 Sb 2.38
Cl (0.1500, 0.7429, 0.9612)  1 Sb 2.51
Cl (0.2691, 0.1930, 0.9408)  1 Sb 2.39
Cl (0.4904, 0.7363, 0.4252)  1 I 2.39
Cl (0.5096, 0.2637, 0.5748)  1 I 2.39
Cl (0.7309, 0.8070, 0.0592)  1 Sb 2.39
Cl (0.8500, 0.2571, 0.0388)  1 Sb 2.51
Cl (0.8962, 0.9675, 0.7145)  1 Sb 2.38

energy of formation from the pure elements	-9.93	eV per formula unit
total DFT energy (no corrections)	-2.375	eV/atom



> The highest total DFT energy (no corrections) belongs to which entry?

SbI3Cl8



> Which formula does entry 1 have?

ICl4O4



> Among the records above, which one has the lowest energy of formation from the pure elements?

SbI3Cl8